! Zn11Co2 | the Materials Project | meta-GGA r2SCAN | relaxed; values from VASP
&SYSTEM
  ibrav = 0, nat = 26, ntyp = 2
/
ATOMIC_SPECIES
Zn 65.41 Zn.upf
Co 58.93 Co.upf
CELL_PARAMETERS angstrom
-4.414 4.414 4.414
4.414 -4.414 4.414
4.414 4.414 -4.414
ATOMIC_POSITIONS angstrom
Zn 0.912 0.912 -0.912
Zn 0.912 -0.912 0.912
Zn 4.832 1.723 -1.723
Zn 3.128 0.000 0.000
Zn 5.700 0.000 0.000
Zn 4.832 -1.723 1.723
Zn -0.912 0.912 0.912
Zn 2.691 2.691 -0.418
Zn 2.691 -0.418 2.691
Zn 1.723 4.832 -1.723
Zn 1.723 -1.723 4.832
Zn 0.000 3.128 0.000
Zn 0.000 0.000 3.128
Zn 3.996 1.723 1.723
Zn -0.418 2.691 2.691
Zn 0.000 5.700 0.000
Zn 0.000 0.000 5.700
Zn 1.723 3.996 1.723
Zn 1.723 1.723 3.996
Zn -1.723 4.832 1.723
Zn -1.723 1.723 4.832
Zn 3.501 3.501 3.501
Co 2.896 2.896 -2.896
Co 2.896 -2.896 2.896
Co 1.517 1.517 1.517
Co -2.896 2.896 2.896
! - V (Å³/f.u.) = 172.0
! - total energy (eV/atom) = -9.63
! - ΔE_f (eV per atom) = -0.06

=====

! LiC6 | the Materials Project | meta-GGA r2SCAN | relaxed; values from VASP
&SYSTEM
  ibrav = 0, nat = 7, ntyp = 2
/
ATOMIC_SPECIES
Li 6.94 Li.upf
C 12.01 C.upf
CELL_PARAMETERS angstrom
4.307 0.000 0.000
-2.153 3.730 0.000
0.000 0.000 3.650
ATOMIC_POSITIONS angstrom
Li 0.000 0.000 0.000
C -0.718 1.244 1.825
C -1.435 2.486 1.825
C 1.437 0.000 1.825
C 0.718 1.244 1.825
C 2.870 0.000 1.825
C 1.435 2.486 1.825
! - V (Å³/f.u.) = 58.6
! - total energy (eV/atom) = -8.90
! - ΔE_f (eV per atom) = -0.03

=====

! Mn6PbO12 | the Materials Project | meta-GGA r2SCAN | relaxed; values from VASP
&SYSTEM
  ibrav = 0, nat = 38, ntyp = 3
/
ATOMIC_SPECIES
Mn 54.94 Mn.upf
Pb 207.20 Pb.upf
O 16.00 O.upf
CELL_PARAMETERS angstrom
6.823 -4.358 0.000
6.823 4.358 0.000
-6.624 0.000 6.967
ATOMIC_POSITIONS angstrom
Mn 3.366 2.910 1.284
Mn -1.147 0.000 3.301
Mn 1.364 1.446 3.626
Mn 3.655 2.910 5.683
Mn 3.347 0.000 1.259
Mn 5.657 1.446 3.341
Mn 1.364 -1.446 3.626
Mn 3.675 0.000 5.709
Mn 3.366 -2.910 1.284
Mn 5.657 -1.446 3.341
Mn 8.168 0.000 3.666
Mn 3.655 -2.910 5.683
Pb 6.823 1.950 0.000
Pb 6.823 -1.950 0.000
O 2.148 2.908 2.725
O 0.380 2.875 4.546
O 2.384 1.474 0.387
O -4.172 0.000 5.008
O 4.388 1.449 1.933
O -2.223 0.000 6.578
O 4.874 2.908 4.242
O 6.641 2.875 2.421
O 0.384 0.000 4.489
O 2.174 0.000 2.725
O 2.384 -1.474 0.387
O 2.634 1.449 5.034
O 4.388 -1.449 1.933
O 4.637 1.474 6.580
O 4.847 0.000 4.243
O 6.638 0.000 2.478
O 0.380 -2.875 4.546
O 2.148 -2.908 2.725
O 9.245 0.000 0.389
O 2.634 -1.449 5.034
O 11.194 0.000 1.959
O 4.637 -1.474 6.580
O 6.641 -2.875 2.421
O 4.874 -2.908 4.242
! - V (Å³/f.u.) = 207.2
! - total energy (eV/atom) = -13.39
! - ΔE_f (eV per atom) = -2.02

=====

! KCaCl3 | the Materials Project | meta-GGA r2SCAN | relaxed; values from VASP
&SYSTEM
  ibrav = 0, nat = 20, ntyp = 3
/
ATOMIC_SPECIES
K 39.10 K.upf
Ca 40.08 Ca.upf
Cl 35.45 Cl.upf
CELL_PARAMETERS angstrom
7.592 0.000 0.000
0.000 10.458 0.000
0.000 0.000 7.209
ATOMIC_POSITIONS angstrom
K 0.534 2.614 0.174
K 3.262 7.843 3.778
K 4.329 2.614 3.431
K 7.058 7.843 7.035
Ca 0.000 0.000 3.604
Ca 0.000 5.229 3.604
Ca 3.796 0.000 0.000
Ca 3.796 5.229 0.000
Cl 0.229 7.843 2.862
Cl 1.515 5.790 5.808
Cl 1.515 9.897 5.808
Cl 2.281 0.561 2.203
Cl 2.281 4.668 2.203
Cl 3.567 2.614 6.466
Cl 4.025 7.843 0.742
Cl 5.311 5.790 5.006
Cl 5.311 9.897 5.006
Cl 6.077 0.561 1.401
Cl 6.077 4.668 1.401
Cl 7.363 2.614 4.347
! - V (Å³/f.u.) = 143.1
! - total energy (eV/atom) = -8.79
! - ΔE_f (eV per atom) = -2.49

=====

! GaIr | the Materials Project | meta-GGA r2SCAN | relaxed; values from VASP
&SYSTEM
  ibrav = 0, nat = 2, ntyp = 2
/
ATOMIC_SPECIES
Ga 69.72 Ga.upf
Ir 192.22 Ir.upf
CELL_PARAMETERS angstrom
3.029 0.000 0.000
0.000 3.029 0.000
0.000 0.000 3.029
ATOMIC_POSITIONS angstrom
Ga 0.000 0.000 0.000
Ir 1.514 1.514 1.514
! - V (Å³/f.u.) = 27.8
! - total energy (eV/atom) = -32.36
! - ΔE_f (eV per atom) = -0.46

=====

! Hg3Se2Cl2 | the Materials Project | meta-GGA r2SCAN | relaxed; values from VASP
&SYSTEM
  ibrav = 0, nat = 14, ntyp = 3
/
ATOMIC_SPECIES
Hg 200.59 Hg.upf
Se 78.96 Se.upf
Cl 35.45 Cl.upf
CELL_PARAMETERS angstrom
-4.610 4.610 4.610
4.610 -4.610 4.610
4.610 4.610 -4.610
ATOMIC_POSITIONS angstrom
Hg 6.914 1.794 0.000
Hg 2.815 0.000 2.305
Hg 2.305 2.815 0.000
Hg 0.000 2.305 2.815
Hg 1.794 0.000 6.914
Hg 0.000 6.914 1.794
Se 6.707 -2.097 2.097
Se 2.097 6.707 -2.097
Se 2.512 2.512 2.512
Se -2.097 2.097 6.707
Cl 4.478 0.132 -0.132
Cl 0.132 0.132 0.132
Cl 0.132 -0.132 4.478
Cl -0.132 4.478 0.132
! - V (Å³/f.u.) = 195.9
! - total energy (eV/atom) = -27.52
! - ΔE_f (eV per atom) = -0.51